Record 1
Crystalline In6Te10Pb at its relaxed geometry. Source: the Materials Project, functional r2SCAN.

Lattice parameters (Å, degrees): 10.9252 10.9252 10.8213 90.18 90.18 88.90
Fractional positions:
In  0.0404  0.0404  0.3318
In  0.1227  0.3856  0.2548
In  0.2078  0.3729  0.8784
In  0.3544  0.0857  0.1593
In  0.4403  0.4718  0.1723
In  0.5282  0.5597  0.8277
In  0.6144  0.8773  0.7452
In  0.6271  0.7922  0.1216
In  0.6606  0.0614  0.4243
In  0.9143  0.6456  0.8407
In  0.9386  0.3394  0.5757
In  0.9596  0.9596  0.6682
Te  0.0132  0.5394  0.4322
Te  0.1094  0.7697  0.7456
Te  0.1113  0.1456  0.5677
Te  0.2118  0.5505  0.0707
Te  0.2303  0.8906  0.2544
Te  0.2860  0.1290  0.9109
Te  0.3519  0.4488  0.6778
Te  0.3534  0.2859  0.3313
Te  0.4495  0.7882  0.9293
Te  0.4606  0.9868  0.5678
Te  0.5512  0.6481  0.3222
Te  0.6130  0.3870  0.0000
Te  0.6151  0.0503  0.1647
Te  0.6945  0.3055  0.5000
Te  0.7141  0.6466  0.6687
Te  0.7832  0.0403  0.8380
Te  0.8544  0.8887  0.4323
Te  0.8710  0.7140  0.0891
Te  0.9497  0.3849  0.8353
Te  0.9597  0.2168  0.1620
Pb  0.5198  0.2118  0.7501
Pb  0.7882  0.4802  0.2499

Values from the calculation:
Its space-group type is C2 (5). For the formation energy from the elements, the calculation gives -466 meV/atom.

Record 2
Crystalline Yb2InPb at its relaxed geometry. Source: the Materials Project, functional r2SCAN.

Lattice parameters (Å, degrees): 5.2951 5.2951 5.2951 60.00 60.00 60.00
Fractional positions:
Yb  0.2500  0.2500  0.2500
Yb  0.7500  0.7500  0.7500
In  0.0000  0.0000  0.0000
Pb  0.5000  0.5000  0.5000

Values from the calculation:
Its space-group type is Fm-3m (225). For the formation energy from the elements, the calculation gives -454 meV/atom.

Record 3
Crystalline InPd at its relaxed geometry. Source: the Materials Project, functional r2SCAN.

Lattice parameters (Å, degrees): 3.2719 3.2719 3.2719 90.00 90.00 90.00
Fractional positions:
In  0.0000  0.0000  0.0000
Pd  0.5000  0.5000  0.5000

Values from the calculation:
Its space-group type is Pm-3m (221). For the formation energy from the elements, the calculation gives -549 meV/atom.

Record 4
Crystalline In3Pd2 at its relaxed geometry. Source: the Materials Project, functional r2SCAN.

Lattice parameters (Å, degrees): 4.5612 4.5612 5.5637 90.00 90.00 120.00
Fractional positions:
In  0.0000  0.0000  0.0000
In  0.3333  0.6667  0.6449
In  0.6667  0.3333  0.3551
Pd  0.3333  0.6667  0.1500
Pd  0.6667  0.3333  0.8500

Values from the calculation:
Its space-group type is P-3m1 (164). For the formation energy from the elements, the calculation gives -545 meV/atom.

Record 5
Crystalline PmInPd2 at its relaxed geometry. Source: the Materials Project, functional r2SCAN.

Lattice parameters (Å, degrees): 4.8510 4.8510 4.8510 119.98 119.90 90.11
Fractional positions:
Pm  0.0000  0.0000  0.0000
In  0.5000  0.5000  0.0000
Pd  0.2502  0.7502  0.5000
Pd  0.7498  0.2498  0.5000

Values from the calculation:
Its space-group type is Immm (71). For the formation energy from the elements, the calculation gives -798 meV/atom.

Record 6
Crystalline PrInPd2 at its relaxed geometry. Source: the Materials Project, functional r2SCAN.

Lattice parameters (Å, degrees): 4.9011 4.9011 4.9011 60.00 60.00 60.00
Fractional positions:
Pr  0.0000  0.0000  0.0000
In  0.5000  0.5000  0.5000
Pd  0.2500  0.2500  0.2500
Pd  0.7500  0.7500  0.7500

Values from the calculation:
Its space-group type is Fm-3m (225). For the formation energy from the elements, the calculation gives -739 meV/atom.